First-principles (GGA+U) data for K3V3As2O14 after structural relaxation, as listed in the Materials Project database.

Summary:
- ρ (g cm⁻³) = 3.1
- formation energy (eV per atom) = -2.18
- corrected total energy (MP2020 scheme) (Ha/atom) = -0.2623

Structure (CIF):
```
data_K3V3As2O14
_chemical_formula_sum 'K12 V12 As8 O56'
_cell_length_a 7.956
_cell_length_b 16.671
_cell_length_c 10.343
_cell_angle_alpha 90.00
_cell_angle_beta 90.00
_cell_angle_gamma 90.00
_symmetry_space_group_name_H-M 'P n m a'
_symmetry_Int_Tables_number 62
_symmetry_space_group_name_Hall '-P 2ac 2n'
loop_
_atom_site_label
_atom_site_fract_x
_atom_site_fract_y
_atom_site_fract_z
K1 0.041 0.250 0.152
K2 0.081 0.610 0.461
V1 0.202 0.557 0.784
V2 0.240 0.750 0.227
As1 0.109 0.575 0.096
O1 0.087 0.036 0.878
O2 0.097 0.044 0.325
O3 0.098 0.250 0.626
O4 0.121 0.655 0.204
O5 0.125 0.617 0.945
O6 0.191 0.644 0.703
O7 0.198 0.250 0.881
O8 0.220 0.014 0.627
```